Below is a geometry-optimized Mg6BiC structure, with properties calculated at the GGA-PBE level.

## Properties
- calculated formation energy (eV/atom) = 0.3614
- offset from the most stable computed form (eV per formula unit) = 0.00

Geometry as extended XYZ:
```
16
Lattice="-3.733 2.125 0.720 -3.033 -5.238 -0.266 1.619 -1.603 13.125" Properties=species:S:1:pos:R:3 pbc="T T T"
Mg -2.209 -4.064 0.542
Mg -0.641 -1.356 0.679
Mg 0.519 -0.513 4.203
Mg -2.066 -1.037 5.520
Mg -3.408 -3.354 5.403
Mg -1.578 0.777 2.700
Mg 0.117 -2.246 7.237
Mg -1.348 -4.776 7.109
Mg -0.188 -3.934 10.632
Mg -2.773 -4.458 11.950
Mg -1.082 -1.537 12.098
Mg -2.285 -2.644 9.130
Bi -3.120 -1.816 2.357
Bi -0.794 0.001 9.052
C -0.823 -3.306 5.490
C 1.504 -1.489 12.186
```